(1)
Na6MnTe4 | r²SCAN | optimized geometry

abc: 10.0328 10.0327 7.6802
angles: 90.00 90.00 120.00
Closest atoms and distances in Å follow each position.
Positions (direct):
Na 0.4722 0.9444 0.8717  3 Te 3.15-3.25, 1 Mn 3.51
Na 0.4722 0.5278 0.8718  3 Te 3.15-3.25, 1 Mn 3.51
Na 0.5278 0.4722 0.3718  3 Te 3.15-3.25, 1 Mn 3.51
Na 0.0556 0.5278 0.8717  3 Te 3.15-3.25, 1 Mn 3.51
Na 0.3004 0.1502 0.0432  4 Te 3.04-3.22
Na 0.5278 0.0556 0.3717  3 Te 3.15-3.25, 1 Mn 3.51
Na 0.9444 0.4722 0.3717  3 Te 3.15-3.25, 1 Mn 3.51
Na 0.8498 0.1502 0.0432  4 Te 3.04-3.22
Na 0.1502 0.3004 0.5432  4 Te 3.04-3.22
Na 0.8498 0.6996 0.0432  4 Te 3.04-3.22
Na 0.6996 0.8498 0.5432  4 Te 3.04-3.22
Na 0.1502 0.8498 0.5432  4 Te 3.04-3.22
Te 0.1842 0.3683 0.1415  1 Mn 2.72, 2 Na 3.04
Te 0.6667 0.3333 0.1073  1 Mn 2.74
Te 0.8158 0.6317 0.6415  1 Mn 2.72, 2 Na 3.04
Te 0.3684 0.1842 0.6415  1 Mn 2.72, 2 Na 3.04-3.05
Te 0.6316 0.8158 0.1415  1 Mn 2.72, 2 Na 3.04-3.05
Te 0.1842 0.8158 0.1415  1 Mn 2.72, 2 Na 3.04
Te 0.8158 0.1842 0.6415  1 Mn 2.72, 2 Na 3.04
Te 0.3333 0.6667 0.6073  1 Mn 2.74
Mn 0.6667 0.3333 0.7500  4 Te 2.72-2.74
Mn 0.3333 0.6667 0.2500  4 Te 2.72-2.74

total magnetic moment: 5.0 μB per formula unit
space-group type: P6_3mc (186)
DFT formation energy: -11.6 eV per formula unit



(2)
Be2PtRh | r²SCAN | optimized geometry

abc: 3.9493 3.9493 3.9493
angles: 60.00 60.00 60.00
Closest atoms and distances in Å follow each position.
Positions (direct):
Be 0.5000 0.5000 0.5000  4 Rh 2.42, 4 Pt 2.42
Be 0.0000 0.0000 0.0000  4 Pt 2.42, 4 Rh 2.42
Pt 0.2500 0.2500 0.2500  8 Be 2.42
Rh 0.7500 0.7500 0.7500  8 Be 2.42

total magnetic moment: 0.0 μB per formula unit
space-group type: Fm-3m (225)
DFT formation energy: -3.3 eV per formula unit



(3)
Mg4FeO5 | r²SCAN | optimized geometry

abc: 2.9701 2.9699 24.5824
angles: 86.48 86.47 59.91
Closest atoms and distances in Å follow each position.
Positions (direct):
Mg 0.4004 0.4001 0.8004  6 O 2.10
Mg 0.2980 0.2996 0.1007  6 O 2.07-2.10
Mg 0.7020 0.7004 0.8993  6 O 2.07-2.10
Mg 0.0992 0.0989 0.7015  6 O 2.10
Mg 0.5996 0.5999 0.1996  6 O 2.10
Mg 0.9008 0.9011 0.2985  6 O 2.10
Mg 0.1998 0.2024 0.3976  6 O 2.08-2.10
Mg 0.8002 0.7976 0.6024  6 O 2.08-2.10
O 0.9489 0.9499 0.1502  6 Mg 2.10
O 0.8484 0.8530 0.4462  3 Mg 2.08-2.09, 3 Fe 2.16-2.17
O 0.1516 0.1470 0.5538  3 Mg 2.08-2.09, 3 Fe 2.16-2.17
O 0.4497 0.4486 0.6520  6 Mg 2.10
O 0.7498 0.7495 0.7510  6 Mg 2.10
O 0.3529 0.3486 0.9470  3 Mg 2.07-2.08, 3 Fe 2.15-2.16
O 0.5503 0.5514 0.3480  6 Mg 2.10
O 0.6471 0.6514 0.0530  3 Mg 2.07-2.08, 3 Fe 2.15-2.16
O 0.0511 0.0501 0.8498  6 Mg 2.10
O 0.2502 0.2505 0.2490  6 Mg 2.10
Fe 0.5000 0.5000 0.5000  6 O 2.16-2.17
Fe 0.0000 0.0000 0.0000  6 O 2.15-2.16

total magnetic moment: 4.0 μB per formula unit
space-group type: P-1 (2)
DFT formation energy: -26.4 eV per formula unit
polymorph energy (0 for the lowest one): 0.000 eV per formula unit



(4)
TiNb4S8 | r²SCAN | optimized geometry

abc: 6.7005 6.7007 12.3023
angles: 90.00 90.00 119.99
Closest atoms and distances in Å follow each position.
Positions (direct):
S 0.8335 0.1665 0.8783  1 Ti 2.44, 3 Nb 2.50-2.52
S 0.8330 0.6663 0.8783  1 Ti 2.45, 3 Nb 2.50-2.52
S 0.3334 0.1667 0.6211  1 Ti 2.44, 3 Nb 2.50-2.53
S 0.8333 0.6666 0.6211  1 Ti 2.44, 3 Nb 2.50-2.53
S 0.6666 0.8333 0.3789  1 Ti 2.44, 3 Nb 2.50-2.53
S 0.6666 0.3334 0.1204  3 Nb 2.46
S 0.6667 0.3332 0.3799  3 Nb 2.46
S 0.1667 0.8333 0.3788  1 Ti 2.44, 3 Nb 2.50-2.52
S 0.8333 0.1667 0.6212  1 Ti 2.44, 3 Nb 2.50-2.52
S 0.1667 0.3334 0.3789  1 Ti 2.44, 3 Nb 2.50-2.53
S 0.3334 0.6666 0.8796  3 Nb 2.46
S 0.3336 0.1669 0.8783  1 Ti 2.45, 3 Nb 2.50-2.52
S 0.1665 0.8335 0.1217  1 Ti 2.44, 3 Nb 2.50-2.52
S 0.6664 0.8331 0.1217  1 Ti 2.45, 3 Nb 2.50-2.52
S 0.3333 0.6668 0.6201  3 Nb 2.46
S 0.1670 0.3337 0.1217  1 Ti 2.45, 3 Nb 2.50-2.52
Nb 0.5056 0.0111 0.2501  6 S 2.46-2.53
Nb 0.4944 0.5056 0.7497  6 S 2.46-2.52
Nb 0.0000 0.0001 0.2503  6 S 2.50
Nb 0.5056 0.4944 0.2503  6 S 2.46-2.52
Nb 0.9888 0.4944 0.2502  6 S 2.46-2.53
Nb 0.4944 0.9889 0.7499  6 S 2.46-2.53
Nb 0.0000 0.9999 0.7497  6 S 2.50
Nb 0.0112 0.5056 0.7498  6 S 2.46-2.53
Ti 0.0000 0.0000 0.5000  6 S 2.44
Ti 0.0000 0.0000 0.0000  6 S 2.44-2.45

total magnetic moment: 0.1 μB per formula unit
space-group type: P6_3/mmc (194)
DFT formation energy: -17.8 eV per formula unit



(5)
Dy2IrAu | r²SCAN | optimized geometry

abc: 4.9311 4.9311 4.9311
angles: 60.00 60.00 60.00
Closest atoms and distances in Å follow each position.
Positions (direct):
Dy 0.0000 0.0000 0.0000  4 Ir 3.02, 4 Au 3.02
Dy 0.5000 0.5000 0.5000  4 Ir 3.02, 4 Au 3.02
Au 0.2500 0.2500 0.2500  8 Dy 3.02
Ir 0.7500 0.7500 0.7500  8 Dy 3.02

total magnetic moment: 0.0 μB per formula unit
space-group type: Fm-3m (225)
DFT formation energy: -3.8 eV per formula unit



(6)
RbFeS2 | r²SCAN | optimized geometry

abc: 5.3861 6.7956 6.7955
angles: 114.61 101.31 101.31
Closest atoms and distances in Å follow each position.
Positions (direct):
Fe 0.7500 0.0041 0.9959  4 S 2.20-2.21
Fe 0.2500 0.9959 0.0041  4 S 2.20-2.21
S 0.0998 0.2918 0.0876  2 Fe 2.20-2.21
S 0.4002 0.9124 0.7082  2 Fe 2.20-2.21
S 0.5998 0.0876 0.2918  2 Fe 2.20-2.21
S 0.9002 0.7082 0.9124  2 Fe 2.20-2.21
Rb 0.7500 0.6438 0.3562  8 S 3.44-3.52
Rb 0.2500 0.3562 0.6438  8 S 3.44-3.52

total magnetic moment: 3.0 μB per formula unit
space-group type: C2/c (15)
DFT formation energy: -3.6 eV per formula unit



(7)
SrPrMgBiO6 | r²SCAN | optimized geometry

abc: 5.7251 5.7251 5.7251
angles: 60.00 60.00 60.00
Closest atoms and distances in Å follow each position.
Positions (direct):
O 0.7461 0.7461 0.2539  1 Mg 1.99, 1 Bi 2.06
O 0.7461 0.2539 0.7461  1 Mg 1.99, 1 Bi 2.06
O 0.2539 0.7461 0.7461  1 Mg 1.99, 1 Bi 2.06
O 0.2539 0.2539 0.7461  1 Mg 1.99, 1 Bi 2.06
O 0.2539 0.7461 0.2539  1 Mg 1.99, 1 Bi 2.06
O 0.7461 0.2539 0.2539  1 Mg 1.99, 1 Bi 2.06
Bi 0.0000 0.0000 0.0000  6 O 2.06
Mg 0.5000 0.5000 0.5000  6 O 1.99
Sr 0.7500 0.7500 0.7500  12 O 2.86
Pr 0.2500 0.2500 0.2500  12 O 2.86

total magnetic moment: 0.0 μB per formula unit
space-group type: F-43m (216)
DFT formation energy: -24.2 eV per formula unit



(8)
Rb3InO3 | r²SCAN | optimized geometry

abc: 6.9330 7.0127 14.6975
angles: 61.88 90.00 90.00
Closest atoms and distances in Å follow each position.
Positions (direct):
Rb 0.0456 0.2141 0.6031  5 O 2.77-3.07
Rb 0.5419 0.2658 0.6173  5 O 2.80-3.14
Rb 0.4544 0.2141 0.1031  5 O 2.77-3.07
Rb 0.5456 0.7859 0.8969  5 O 2.77-3.07
Rb 0.4163 0.3837 0.8146  3 O 2.67-2.91
Rb 0.5837 0.6163 0.1853  3 O 2.67-2.91
Rb 0.9163 0.6163 0.6854  3 O 2.67-2.91
Rb 0.0419 0.7342 0.8827  5 O 2.80-3.14
Rb 0.9544 0.7859 0.3969  5 O 2.77-3.07
Rb 0.0837 0.3837 0.3146  3 O 2.67-2.91
Rb 0.4581 0.7342 0.3827  5 O 2.80-3.14
Rb 0.9581 0.2658 0.1173  5 O 2.80-3.14
O 0.8374 0.8478 0.0380  2 In 2.12-2.14
O 0.1976 0.8357 0.2205  1 In 2.05
O 0.7620 0.4152 0.4270  1 In 2.05
O 0.8024 0.1643 0.7795  1 In 2.05
O 0.2620 0.5848 0.0730  1 In 2.05
O 0.3024 0.8357 0.7205  1 In 2.05
O 0.6976 0.1643 0.2795  1 In 2.05
O 0.3375 0.1522 0.4620  2 In 2.12-2.14
O 0.1626 0.1522 0.9620  2 In 2.12-2.14
O 0.7380 0.4152 0.9270  1 In 2.05
O 0.6626 0.8478 0.5380  2 In 2.12-2.14
O 0.2380 0.5848 0.5730  1 In 2.05
In 0.8692 0.1668 0.9147  4 O 2.05-2.14
In 0.1308 0.8332 0.0853  4 O 2.05-2.14
In 0.3692 0.8332 0.5853  4 O 2.05-2.14
In 0.6308 0.1668 0.4147  4 O 2.05-2.14

total magnetic moment: 0.0 μB per formula unit
space-group type: P2_1/c (14)
DFT formation energy: -10.6 eV per formula unit
polymorph energy (0 for the lowest one): 0.128 eV per formula unit



(9)
CoCl2 | r²SCAN | optimized geometry

abc: 3.4238 3.4238 5.8516
angles: 90.29 90.29 62.75
Closest atoms and distances in Å follow each position.
Positions (direct):
Co 0.0000 0.0000 0.0000  6 Cl 2.28-2.44
Cl 0.6786 0.6786 0.7787  3 Co 2.28-2.44
Cl 0.3214 0.3214 0.2213  3 Co 2.28-2.44

total magnetic moment: 1.0 μB per formula unit
space-group type: C2/m (12)
DFT formation energy: -2.2 eV per formula unit



(10)
TaN | r²SCAN | optimized geometry

abc: 2.9399 2.9399 2.8902
angles: 90.00 90.00 120.00
Closest atoms and distances in Å follow each position.
Positions (direct):
Ta 0.3333 0.6667 0.5000  6 N 2.23
N 0.0000 0.0000 0.0000  6 Ta 2.23

total magnetic moment: 0.0 μB per formula unit
space-group type: P-6m2 (187)
DFT formation energy: -2.7 eV per formula unit



(11)
NaLuS2 | r²SCAN | optimized geometry

abc: 3.8755 3.8755 6.9662
angles: 73.85 73.85 60.00
Closest atoms and distances in Å follow each position.
Positions (direct):
S 0.2413 0.2413 0.2761  3 Lu 2.68, 3 Na 2.89
S 0.7587 0.7587 0.7239  3 Lu 2.68, 3 Na 2.89
Lu 0.5000 0.5000 0.5000  6 S 2.68
Na 0.0000 0.0000 0.0000  6 S 2.89

total magnetic moment: 0.0 μB per formula unit
space-group type: R-3m (166)
DFT formation energy: -8.5 eV per formula unit



(12)
LiYbNbO3 | r²SCAN | optimized geometry

abc: 3.9323 5.2996 3.9323
angles: 90.00 90.00 90.00
Closest atoms and distances in Å follow each position.
Positions (direct):
Yb 0.0000 0.0000 0.0000  2 Li 2.65, 4 O 2.78
O 0.5000 0.5000 0.0000  2 Nb 1.97, 2 Li 1.97
O 0.0000 0.5000 0.5000  2 Nb 1.97, 2 Li 1.97
O 0.5000 0.0000 0.5000  2 Nb 2.65, 4 Yb 2.78
Li 0.0000 0.5000 0.0000  4 O 1.97
Nb 0.5000 0.5000 0.5000  4 O 1.97

total magnetic moment: 0.5 μB per formula unit
space-group type: P4/mmm (123)
DFT formation energy: -9.8 eV per formula unit
polymorph energy (0 for the lowest one): 3.329 eV per formula unit



The highest DFT formation energy belongs to which entry?
CoCl2